[1]
Entry from Materials Project: a geometry-optimized CaCr2O7 structure (PBE+U).

DFT formation energy   -2.0018 eV/atom
Density   2.2 g/cm3
Magnetization   0.00 μB/cell

a b c (Å): 6.9038 7.1417 8.1460
angles (deg): 90.00 109.21 90.00
Space group P2_1 (No. 4)
Inequivalent atoms, fractional coordinates:
Ca: 0.1234 0.0000 0.1575
Cr: 0.1023 0.5188 0.2891
Cr: 0.3280 0.5512 0.7001
O: 0.0629 0.6530 0.1102
O: 0.1107 0.9917 0.6782
O: 0.1250 0.4420 0.7176
O: 0.1837 0.3111 0.2517
O: 0.2706 0.6262 0.4771
O: 0.3806 0.7273 0.8277
O: 0.4680 0.9149 0.2523

=====

[2]
Entry from Materials Project: a geometry-optimized CaCr2O4 structure (PBE+U).

E above lowest polymorph   0.0 kJ per mole of atoms
DFT formation energy   -2.7010 eV/atom
Density   4.0 g/cm3

a b c (Å): 5.9829 11.1674 5.1381
angles (deg): 90.00 90.00 90.00
Space group Pmmn (No. 59, origin choice 2)
Inequivalent atoms, fractional coordinates:
Ca: 0.2500 0.2500 0.0377
Ca: 0.2500 0.7500 0.3527
Cr: 0.0000 0.0000 0.5000
Cr: 0.2500 0.5090 0.9922
O: 0.0034 0.1012 0.8368
O: 0.2500 0.0901 0.3217
O: 0.2500 0.5986 0.6552

=====

[3]
Entry from Materials Project: a geometry-optimized CaCr2O4 structure (PBE+U).

E above lowest polymorph   17.1 kJ per mole of atoms
DFT formation energy   -2.5241 eV/atom
Density   4.3 g/cm3
Magnetization   24.00 μB/cell

a b c (Å): 13.7534 3.1061 9.4388
angles (deg): 90.00 126.78 90.00
Space group C2/m (No. 12)
Inequivalent atoms, fractional coordinates:
Ca: 0.1519 0.0000 0.1656
Cr: 0.1375 0.0000 0.8228
Cr: 0.1396 0.5000 0.4713
O: 0.0410 0.0000 0.3075
O: 0.1344 0.5000 0.6871
O: 0.1632 0.5000 0.9952
O: 0.2382 0.5000 0.3800

=====

[4]
Entry from Materials Project: a geometry-optimized CaCrO2 structure (PBE+U).

E above lowest polymorph   3.6 kJ per mole of atoms
DFT formation energy   -2.5681 eV/atom
Density   3.8 g/cm3
Magnetization   0.02 μB/cell

a b c (Å): 8.2693 3.1122 8.5021
angles (deg): 90.00 96.61 90.00
Space group P2_1/m (No. 11)
Inequivalent atoms, fractional coordinates:
Ca: 0.0738 0.2500 0.1804
Ca: 0.1861 0.7500 0.5412
Cr: 0.2856 0.2500 0.8951
Cr: 0.4440 0.7500 0.2978
O: 0.0384 0.2500 0.6653
O: 0.1747 0.7500 0.0045
O: 0.3086 0.2500 0.3755
O: 0.3970 0.7500 0.7672

=====

[5]
Entry from Materials Project: a geometry-optimized Ca2CrO8 structure (PBE+U).

DFT formation energy   -1.6146 eV/atom
Density   2.8 g/cm3
Magnetization   4.00 μB/cell

a b c (Å): 8.5067 7.6527 4.8585
angles (deg): 90.00 101.32 90.00
Space group Cm (No. 8)
Inequivalent atoms, fractional coordinates:
Ca: 0.0000 0.2467 0.0000
Cr: 0.1452 0.5000 0.6067
O: 0.0068 0.0000 0.6316
O: 0.1201 0.5000 0.2562
O: 0.2354 0.3206 0.7476
O: 0.2594 0.0877 0.1388
O: 0.4660 0.0000 0.6961
O: 0.4758 0.5000 0.3508

=====

[6]
Entry from Materials Project: a geometry-optimized CaCrO2 structure (PBE+U).

E above lowest polymorph   22.5 kJ per mole of atoms
DFT formation energy   -2.3725 eV/atom
Density   3.4 g/cm3
Magnetization   0.00 μB/cell

a b c (Å): 3.1259 8.8466 9.0054
angles (deg): 85.20 80.16 80.46
Space group P-1 (No. 2)
Inequivalent atoms, fractional coordinates:
Ca: 0.1057 0.2373 0.0723
Ca: 0.2919 0.5912 0.3096
Cr: 0.0784 0.7244 0.6109
Cr: 0.3236 0.0803 0.7733
O: 0.0936 0.0558 0.2644
O: 0.2896 0.7817 0.1250
O: 0.3322 0.2990 0.5466
O: 0.4732 0.3512 0.2288